[1]
Density functional theory data (PBE with a Hubbard U) for a relaxed structure of Mn2Zn2O5.

Computed properties:
**ΔH_f (0 K)**: -1.659 eV per atom
**M_tot**: 8.00 μB per formula unit

Structure (extended XYZ):
```
18
Lattice="5.472 0.000 0.000 0.000 10.490 0.000 0.000 0.000 3.632" Properties=species:S:1:pos:R:3 pbc="T T T"
Mn 1.290 1.389 0.000
Mn 1.446 6.634 0.000
Mn 4.026 3.855 0.000
Mn 4.182 9.100 0.000
Zn 1.257 9.446 1.816
Zn 1.479 4.201 1.816
Zn 3.994 6.289 1.816
Zn 4.215 1.044 1.816
O 0.000 5.245 0.000
O 0.722 8.579 0.000
O 0.999 0.986 1.816
O 1.737 6.231 1.816
O 2.014 3.334 0.000
O 2.736 0.000 0.000
O 3.458 7.155 0.000
O 3.735 4.259 1.816
O 4.473 9.504 1.816
O 4.750 1.911 0.000
```

[2]
Density functional theory data (PBE with a Hubbard U) for a relaxed structure of MoBr3O.

Computed properties:
**ΔH_f (0 K)**: -0.831 eV per atom

Structure (extended XYZ):
```
20
Lattice="3.923 0.000 0.000 0.000 12.004 0.000 -3.853 0.000 12.005" Properties=species:S:1:pos:R:3 pbc="T T T"
Mo 0.284 1.405 1.405
Mo -1.642 4.597 7.408
Mo 1.712 7.407 4.598
Mo -0.215 10.600 10.601
Br -1.925 7.258 7.258
Br 0.001 10.748 1.256
Br -1.919 2.143 7.304
Br 0.008 3.860 1.301
Br 0.015 1.300 3.860
Br -1.912 4.702 9.863
Br 1.982 7.302 2.143
Br 0.055 10.704 8.145
Br 0.062 8.145 10.704
Br 1.989 9.862 4.702
Br 0.069 1.256 10.750
Br 1.995 4.746 4.747
O -0.065 7.333 4.673
O -1.991 10.674 10.676
O 2.061 1.331 1.330
O 0.134 4.671 7.332
```

[3]
Density functional theory data (PBE with a Hubbard U) for a relaxed structure of Cr3CuP4O16.

Computed properties:
**ΔH_f (0 K)**: -2.369 eV per atom
**M_tot**: 9.46 μB per formula unit

Structure (extended XYZ):
```
24
Lattice="4.787 0.000 0.000 0.000 5.806 0.000 -0.156 0.000 9.903" Properties=species:S:1:pos:R:3 pbc="T T T"
Cr 0.000 0.000 0.000
Cr 0.210 2.903 5.422
Cr 2.623 0.000 5.009
Cu 2.193 2.903 0.575
P 0.499 0.000 6.767
P 2.093 0.000 1.786
P 2.875 2.903 3.662
P 4.456 2.903 8.618
O 0.899 0.000 8.230
O 1.207 1.192 5.984
O 1.207 4.614 5.984
O 1.192 2.903 8.768
O 1.331 1.166 1.025
O 1.331 4.640 1.025
O 1.369 2.903 3.857
O 1.728 0.000 3.261
O 3.244 2.903 2.196
O 3.590 0.000 1.565
O 3.599 1.715 4.443
O 3.599 4.091 4.443
O 3.776 0.000 6.593
O 3.800 1.677 9.349
O 3.800 4.129 9.349
O 4.059 2.903 7.146
```

[4]
Density functional theory data (PBE with a Hubbard U) for a relaxed structure of MnAsH2O5.

Computed properties:
**ΔH_f (0 K)**: -1.665 eV per atom
**M_tot**: 0.00 μB per formula unit

Structure (extended XYZ):
```
36
Lattice="5.189 -0.068 -1.319 -0.960 5.154 6.298 1.059 -5.046 8.942" Properties=species:S:1:pos:R:3 pbc="T T T"
Mn 2.644 0.021 6.961
Mn 5.767 -2.537 10.771
Mn 2.693 0.074 14.580
Mn 0.529 -2.523 4.472
As 2.544 2.205 4.394
As 3.554 -2.894 5.717
As 2.742 -2.165 9.527
As 1.732 2.935 8.206
H 4.685 -0.242 8.797
H 4.636 -0.296 1.177
H 0.148 0.616 1.316
H 0.197 0.671 8.936
H 0.602 0.283 5.125
H 0.651 0.337 12.745
H 5.140 -0.576 12.606
H 5.091 -0.630 4.986
O 0.760 -0.468 13.333
O 0.710 -0.522 5.713
O 4.528 0.508 0.588
O 4.577 0.562 8.209
O 2.085 -1.399 8.142
O 1.075 3.700 6.821
O 1.884 -1.658 10.920
O 1.835 -1.712 3.301
O 3.203 1.440 5.779
O 4.212 -3.660 7.101
O 3.402 1.698 3.000
O 3.452 1.753 10.621
O 4.395 -1.677 9.669
O 4.347 -1.732 2.049
O 2.551 -3.876 9.373
O 1.541 1.224 8.052
O 0.891 1.718 4.251
O 0.941 1.772 11.873
O 2.737 3.916 4.548
O 3.746 -1.183 5.871
```

[5]
Density functional theory data (PBE with a Hubbard U) for a relaxed structure of Li5Fe8B8O24.

Computed properties:
**Energy relative to the lowest polymorph listed for this composition**: 0.010 eV/atom
**ΔH_f (0 K)**: -2.282 eV per atom
**M_tot**: 35.00 μB per formula unit

Structure (extended XYZ):
```
45
Lattice="5.276 0.000 0.000 -0.079 9.061 0.000 -0.300 -0.133 10.103" Properties=species:S:1:pos:R:3 pbc="T T T"
Li 0.000 0.000 0.000
Li -0.208 8.945 5.255
Li 0.866 4.344 2.731
Li 2.609 4.468 0.079
Li 3.454 8.925 2.709
Fe -0.026 5.908 0.376
Fe -0.083 3.025 5.506
Fe 0.892 1.365 2.966
Fe 0.700 7.376 7.956
Fe 2.652 1.410 0.383
Fe 2.447 7.461 5.524
Fe 3.454 5.903 2.977
Fe 3.353 2.861 7.873
B 0.018 2.930 0.444
B -0.150 5.983 5.440
B 0.757 7.396 2.961
B 0.712 1.370 8.019
B 2.624 7.473 0.483
B 2.531 1.364 5.467
B 3.302 5.879 8.044
B 3.527 2.928 2.925
O -0.041 2.466 7.655
O 0.054 8.559 3.097
O 0.113 6.208 2.580
O 0.151 0.109 8.102
O 0.609 1.701 0.752
O 0.401 7.204 5.943
O 0.566 4.861 5.421
O 0.742 4.097 0.631
O 1.172 1.374 5.145
O 1.011 7.369 10.103
O 2.128 7.357 3.225
O 2.040 1.536 8.388
O 2.560 6.976 7.630
O 2.808 4.121 2.841
O 2.886 1.743 2.589
O 2.740 4.645 8.183
O 3.192 6.239 0.859
O 3.150 2.537 5.916
O 3.271 0.213 5.312
O 3.359 8.626 0.626
O 3.676 2.843 10.092
O 3.829 6.088 4.913
O 4.630 6.075 8.417
O 4.860 2.948 3.295
```

[6]
Density functional theory data (PBE with a Hubbard U) for a relaxed structure of MgCr2Ir2O12.

Computed properties:
**ΔH_f (0 K)**: -1.342 eV per atom
**M_tot**: 0.05 μB per formula unit

Structure (extended XYZ):
```
17
Lattice="5.015 0.000 0.000 -0.004 5.222 0.000 -0.036 -0.007 7.273" Properties=species:S:1:pos:R:3 pbc="T T T"
Mg 0.000 0.000 0.000
Cr 2.385 0.386 5.424
Cr 4.910 2.930 1.843
Ir 2.418 0.369 1.874
Ir 4.862 2.969 5.399
O 0.492 2.819 3.665
O 0.729 1.329 5.906
O 0.779 1.291 1.371
O 1.366 4.028 5.911
O 1.445 4.045 1.354
O 1.800 0.226 3.638
O 3.020 0.516 7.268
O 3.291 1.962 2.272
O 3.291 2.013 5.014
O 3.952 4.596 5.024
O 3.981 4.609 2.216
O 4.307 3.178 7.252
```